Record 1
Here is Li2V2P3O12 after structural relaxation from the Materials Project. Energies are from PBE+U.

abc: 8.5702 8.6896 14.9254
angles: 90.00 124.99 90.00
Space group P2_1/c (No. 14)
Asymmetric unit:
Li 0.0276 0.2227 0.3186
Li 0.3826 0.5787 0.3025
V 0.1328 0.5388 0.3875
V 0.3670 0.5323 0.1127
P 0.0403 0.1036 0.6442
P 0.2563 0.6163 0.6495
P 0.4596 0.2486 0.4947
O 0.0176 0.2378 0.1811
O 0.0908 0.5190 0.2338
O 0.0996 0.5924 0.6701
O 0.1435 0.5540 0.9635
O 0.1834 0.5810 0.5320
O 0.2120 0.1028 0.6344
O 0.2633 0.1745 0.9274
O 0.3118 0.7095 0.1764
O 0.3826 0.6328 0.4310
O 0.4308 0.5105 0.7271
O 0.4673 0.1317 0.5744
O 0.4932 0.1741 0.4124

Results
total DFT energy (no corrections): -7.22 eV/atom
size of the total moment: 0.1579 μB per atom
DFT formation energy: -2.70 eV per atom



Record 2
Here is KCoO2 after structural relaxation from the Materials Project. Energies are from PBE+U.

abc: 3.8482 3.8482 8.0021
angles: 90.00 90.00 90.00
Space group P4/nmm (No. 129, origin choice 2)
Asymmetric unit:
K 0.2500 0.2500 0.1594
Co 0.2500 0.2500 0.5930
O 0.2500 0.2500 0.8106
O 0.2500 0.7500 0.5000

Results
total DFT energy (no corrections): -5.26 eV/atom
size of the total moment: 1.0000 μB per atom
DFT formation energy: -1.48 eV per atom



Record 3
Here is PrEuHfMnO6 after structural relaxation from the Materials Project. Energies are from PBE+U.

abc: 8.0993 8.0993 8.0993
angles: 90.00 90.00 90.00
Space group F-43m (No. 216)
Asymmetric unit:
Pr 0.0000 0.0000 0.0000
Eu 0.0000 0.0000 0.5000
Hf 0.2500 0.2500 0.7500
Mn 0.2500 0.2500 0.2500
O 0.0014 0.2500 0.2500

Results
total DFT energy (no corrections): -9.00 eV/atom
DFT formation energy: -3.20 eV per atom



Record 4
Here is BaTi2Fe4O11 after structural relaxation from the Materials Project. Energies are from PBE+U.

abc: 5.9771 10.3568 13.3340
angles: 90.00 90.26 90.00
Space group C2/c (No. 15)
Asymmetric unit:
Ba 0.0000 0.1662 0.2500
Ti 0.0000 0.1671 0.7500
Ti 0.2500 0.2500 0.0000
Fe 0.0000 0.0000 0.0000
Fe 0.0026 0.4992 0.6408
Fe 0.2500 0.2500 0.5000
O 0.0000 0.3455 0.7500
O 0.0072 0.1690 0.9117
O 0.0087 0.3257 0.0799
O 0.2328 0.4222 0.2516
O 0.2386 0.0870 0.4200
O 0.2427 0.0914 0.0799

Results
total DFT energy (no corrections): -7.42 eV/atom
size of the total moment: 1.1114 μB per atom
DFT formation energy: -2.45 eV per atom



Record 5
Here is Cs7U8V2ClO32 after structural relaxation from the Materials Project. Energies are from PBE+U.

abc: 11.9704 21.5995 7.7490
angles: 90.00 90.00 90.00
Space group Pmmn (No. 59, origin choice 2)
Asymmetric unit:
Cs 0.0595 0.1483 0.0521
Cs 0.2500 0.5270 0.9596
Cs 0.2500 0.7500 0.7540
U 0.0343 0.2500 0.5526
U 0.0556 0.5760 0.4493
U 0.2500 0.0943 0.5042
V 0.2500 0.6617 0.2791
Cl 0.2500 0.2500 0.3879
O 0.0114 0.7500 0.6757
O 0.0281 0.5635 0.2168
O 0.0837 0.2500 0.7781
O 0.0857 0.1494 0.5256
O 0.0969 0.5916 0.6755
O 0.1048 0.0254 0.4873
O 0.1226 0.6853 0.3754
O 0.2500 0.0905 0.7429
O 0.2500 0.0980 0.2640
O 0.2500 0.5834 0.3451
O 0.2500 0.6673 0.0637

Results
total DFT energy (no corrections): -8.18 eV/atom
size of the total moment: 0.0015 μB per atom
DFT formation energy: -3.19 eV per atom



Record 6
Here is YFeO3 after structural relaxation from the Materials Project. Energies are from PBE+U.

abc: 3.8832 3.8832 3.8832
angles: 90.00 90.00 90.00
Space group Pm-3m (No. 221)
Asymmetric unit:
Y 0.0000 0.0000 0.0000
Fe 0.5000 0.5000 0.5000
O 0.0000 0.5000 0.5000

Results
total DFT energy (no corrections): -7.59 eV/atom
size of the total moment: 0.9999 μB per atom
DFT formation energy: -2.50 eV per atom



Record 7
Here is Li6V3P8O29 after structural relaxation from the Materials Project. Energies are from PBE+U.

abc: 9.7935 9.8121 13.9753
angles: 89.77 89.74 60.23
Space group P1 (No. 1)
Asymmetric unit:
Li 0.0000 0.0000 0.0000
Li 0.0043 0.5559 0.4955
Li 0.1342 0.4042 0.9986
Li 0.1384 0.9871 0.4996
Li 0.2319 0.2269 0.3753
Li 0.5688 0.4234 0.4975
Li 0.5740 0.9913 0.5510
Li 0.5847 0.5516 0.0006
Li 0.6701 0.6515 0.3734
Li 0.6828 0.2299 0.8826
Li 0.8206 0.6367 0.8815
Li 0.8922 0.2847 0.4279
V 0.3389 0.8918 0.6921
V 0.3424 0.3226 0.1908
V 0.4709 0.7612 0.1861
V 0.4728 0.3254 0.6918
V 0.9046 0.8930 0.1938
V 0.9102 0.7584 0.6859
P 0.1340 0.0090 0.2824
P 0.1356 0.4101 0.7812
P 0.2202 0.0963 0.0974
P 0.2221 0.2340 0.5963
P 0.2401 0.6541 0.0696
P 0.2418 0.6593 0.5662
P 0.5709 0.9912 0.3114
P 0.5782 0.9852 0.8089
P 0.5861 0.5564 0.7805
P 0.5939 0.4123 0.2814
P 0.6776 0.2333 0.1000
P 0.6794 0.6389 0.5947
P 0.8179 0.1047 0.5998
P 0.8196 0.6445 0.0982
P 0.9914 0.5497 0.2825
P 0.9942 0.0040 0.7842
O 0.0041 0.8446 0.7640
O 0.0931 0.6531 0.6084
O 0.0943 0.8056 0.1086
O 0.1184 0.1218 0.1949
O 0.1181 0.3189 0.6899
O 0.1211 0.1001 0.3735
O 0.1358 0.0817 0.0139
O 0.1366 0.3270 0.5080
O 0.1529 0.3254 0.8722
O 0.1561 0.4034 0.2822
O 0.1570 0.9866 0.7776
O 0.2309 0.6671 0.4597
O 0.2357 0.8120 0.6075
O 0.2378 0.0701 0.5944
O 0.2386 0.5059 0.1173
O 0.2420 0.6396 0.9631
O 0.2448 0.2389 0.0958
O 0.2872 0.4204 0.7567
O 0.2881 0.8549 0.2722
O 0.3820 0.9443 0.1163
O 0.3873 0.2157 0.6095
O 0.3937 0.5129 0.6038
O 0.3953 0.6488 0.1062
O 0.4134 0.1367 0.2725
O 0.4234 0.6993 0.7625
O 0.4318 0.9851 0.7609
O 0.4393 0.4096 0.2746
O 0.5314 0.2171 0.1185
O 0.5316 0.8025 0.6055
O 0.5620 0.9954 0.4195
O 0.5664 0.5824 0.2732
O 0.5763 0.4033 0.7808
O 0.5801 0.1365 0.7725
O 0.5807 0.8360 0.2746
O 0.5846 0.9704 0.9146
O 0.6467 0.2467 0.5984
O 0.6537 0.6625 0.0948
O 0.6620 0.3254 0.0099
O 0.6628 0.5703 0.8702
O 0.6737 0.5504 0.5078
O 0.6848 0.3410 0.3720
O 0.6979 0.5361 0.6894
O 0.7012 0.3234 0.1898
O 0.7118 0.0019 0.2700
O 0.7251 0.8379 0.7609
O 0.8060 0.9527 0.6040
O 0.8095 0.8031 0.1183
O 0.8273 0.0707 0.0992
O 0.8274 0.6564 0.5918
O 0.8906 0.1227 0.6981
O 0.9013 0.5455 0.3705
O 0.9044 0.5315 0.1887
O 0.9052 0.0762 0.8752
O 0.9112 0.1163 0.5182
O 0.9125 0.5666 0.0089
O 0.9893 0.5748 0.7775
O 0.9916 0.9829 0.2754
O 0.9962 0.7017 0.2717

Results
total DFT energy (no corrections): -7.02 eV/atom
size of the total moment: 0.0652 μB per atom
DFT formation energy: -2.66 eV per atom



Record 8
Here is Li5MnO4 after structural relaxation from the Materials Project. Energies are from PBE+U.

abc: 4.6069 9.1130 9.6206
angles: 90.00 90.00 90.00
Space group Aea2 (No. 41)
Asymmetric unit:
Li 0.0000 0.0000 0.0000
Li 0.0264 0.2086 0.7658
Li 0.0738 0.2204 0.5169
Mn 0.0000 0.0000 0.2727
O 0.1423 0.1421 0.1435
O 0.2127 0.3653 0.8906

Results
total DFT energy (no corrections): -5.47 eV/atom
size of the total moment: 0.3999 μB per atom
DFT formation energy: -2.06 eV per atom